The following is a PBE calculation of a relaxed structure of MgZr, from the Materials Project database.

Summary:
Energy relative to the elements in meV/atom: 63.2

Cell lengths 3.0580, 3.0580, 5.5315 Å; angles 90.00, 90.00, 120.00 degrees
Space group P-6m2 (No. 187)
Asymmetric unit:
Mg: 0.0000 0.0000 0.0000 (multiplicity 1)
Zr: 0.6667 0.3333 0.5000 (multiplicity 1)

=====

The following is a PBE calculation of a relaxed structure of Ge3Rh2S3, from the Materials Project database.

Summary:
Energy relative to the elements in meV/atom: -727.3

Cell lengths 11.8510, 11.8510, 14.5503 Å; angles 90.00, 90.00, 120.00 degrees
Space group R-3 (No. 148, hexagonal axes)
Asymmetric unit:
Ge: 0.0166 0.8375 0.3388 (multiplicity 18)
Ge: 0.0572 0.4567 0.6020 (multiplicity 18)
Rh: 0.0000 0.0000 0.2476 (multiplicity 6)
Rh: 0.9996 0.4998 0.2465 (multiplicity 18)
S: 0.0256 0.8368 0.8338 (multiplicity 18)
S: 0.0500 0.4544 0.0954 (multiplicity 18)

=====

The following is a PBE calculation of a relaxed structure of Rb3Ta, from the Materials Project database.

Summary:
Energy relative to the elements in meV/atom: 1457.4

Cell lengths 9.432, 9.432, 9.432 Å; angles 90.00, 90.00, 90.00 degrees
Space group Fm-3m (No. 225)
Asymmetric unit:
Rb: 0.000 0.000 0.000 (multiplicity 4)
Rb: 0.250 0.250 0.250 (multiplicity 8)
Ta: 0.000 0.000 0.500 (multiplicity 4)

=====

The following is a PBE calculation of a relaxed structure of Sm3CrS6, from the Materials Project database.

Summary:
Energy relative to the elements in meV/atom: -2026.5

Cell lengths 13.468, 16.185, 3.852 Å; angles 90.00, 90.00, 90.00 degrees
Space group Pnnm (No. 58)
Asymmetric unit:
Sm: 0.050 0.218 0.000 (multiplicity 4)
Sm: 0.181 0.649 0.000 (multiplicity 4)
Sm: 0.245 0.903 0.500 (multiplicity 4)
Cr: 0.000 0.000 0.500 (multiplicity 2)
Cr: 0.000 0.500 0.500 (multiplicity 2)
S: 0.024 0.405 0.000 (multiplicity 4)
S: 0.081 0.927 0.000 (multiplicity 4)
S: 0.103 0.755 0.500 (multiplicity 4)
S: 0.121 0.105 0.500 (multiplicity 4)
S: 0.177 0.521 0.500 (multiplicity 4)
S: 0.186 0.289 0.500 (multiplicity 4)

=====

The following is a PBE calculation of a relaxed structure of Rb3TaF12, from the Materials Project database.

Summary:
Energy relative to the elements in meV/atom: -2397.2

Cell lengths 7.372, 14.852, 7.749 Å; angles 90.00, 94.85, 90.00 degrees
Space group C2/m (No. 12)
Asymmetric unit:
Rb: 0.000 0.000 0.000 (multiplicity 2)
Rb: 0.250 0.250 0.500 (multiplicity 4)
Ta: 0.000 0.000 0.500 (multiplicity 2)
F: 0.100 0.084 0.681 (multiplicity 8)
F: 0.221 0.078 0.414 (multiplicity 8)
F: 0.243 0.361 0.814 (multiplicity 8)

=====

The following is a PBE calculation of a relaxed structure of Li2ReN2, from the Materials Project database.

Summary:
Energy relative to the elements in meV/atom: -402.6

Cell lengths 5.084, 2.936, 7.670 Å; angles 90.00, 90.13, 90.00 degrees
Space group C2/m (No. 12)
Asymmetric unit:
Li: 0.168 0.000 0.302 (multiplicity 4)
Re: 0.000 0.500 0.000 (multiplicity 2)
N: 0.166 0.000 0.836 (multiplicity 4)

=====

The following is a PBE calculation of a relaxed structure of TmMg3, from the Materials Project database.

Summary:
Energy relative to the elements in meV/atom: -37.4

Cell lengths 4.625, 4.625, 4.625 Å; angles 90.00, 90.00, 90.00 degrees
Space group Pm-3m (No. 221)
Asymmetric unit:
Tm: 0.000 0.000 0.000 (multiplicity 1)
Mg: 0.000 0.500 0.500 (multiplicity 3)

=====

The following is a PBE calculation of a relaxed structure of Te3MoWS, from the Materials Project database.

Summary:
Energy relative to the elements in meV/atom: -382.7

Cell lengths 3.4510, 3.4510, 39.3939 Å; angles 90.00, 90.00, 120.00 degrees
Space group P3m1 (No. 156)
Asymmetric unit:
Te: 0.0000 0.0000 0.0000 (multiplicity 1)
Te: 0.0000 0.0000 0.0940 (multiplicity 1)
Te: 0.0000 0.0000 0.3756 (multiplicity 1)
Te: 0.0000 0.0000 0.4701 (multiplicity 1)
Te: 0.3333 0.6667 0.1879 (multiplicity 1)
Te: 0.3333 0.6667 0.2819 (multiplicity 1)
Mo: 0.0000 0.0000 0.2349 (multiplicity 1)
Mo: 0.3333 0.6667 0.0470 (multiplicity 1)
W: 0.0000 0.0000 0.8592 (multiplicity 1)
W: 0.3333 0.6667 0.4229 (multiplicity 1)
S: 0.3333 0.6667 0.8213 (multiplicity 1)
S: 0.3333 0.6667 0.8972 (multiplicity 1)

=====

The following is a PBE calculation of a relaxed structure of NbAg2P2S8, from the Materials Project database.

Summary:
Energy relative to the elements in meV/atom: -682.0

Cell lengths 12.515, 26.826, 6.898 Å; angles 90.00, 90.00, 90.00 degrees
Space group Pnma (No. 62)
Asymmetric unit:
Nb: 0.133 0.196 0.033 (multiplicity 8)
Ag: 0.080 0.556 0.985 (multiplicity 8)
Ag: 0.157 0.541 0.479 (multiplicity 8)
P: 0.107 0.106 0.692 (multiplicity 8)
P: 0.160 0.107 0.374 (multiplicity 8)
S: 0.009 0.165 0.753 (multiplicity 8)
S: 0.024 0.123 0.221 (multiplicity 8)
S: 0.028 0.039 0.714 (multiplicity 8)
S: 0.031 0.750 0.945 (multiplicity 4)
S: 0.061 0.250 0.297 (multiplicity 4)
S: 0.203 0.750 0.506 (multiplicity 4)
S: 0.204 0.250 0.766 (multiplicity 4)
S: 0.240 0.120 0.853 (multiplicity 8)
S: 0.241 0.041 0.329 (multiplicity 8)
S: 0.243 0.666 0.818 (multiplicity 8)

=====

The following is a PBE calculation of a relaxed structure of NpGa3, from the Materials Project database.

Summary:
Energy relative to the elements in meV/atom: -195.5

Cell lengths 4.266, 4.266, 4.266 Å; angles 90.00, 90.00, 90.00 degrees
Space group Pm-3m (No. 221)
Asymmetric unit:
Np: 0.000 0.000 0.000 (multiplicity 1)
Ga: 0.000 0.500 0.500 (multiplicity 3)

=====

The following is a PBE calculation of a relaxed structure of Tb2CoGe6, from the Materials Project database.

Summary:
Energy relative to the elements in meV/atom: -480.5

Cell lengths 4.070, 3.996, 21.527 Å; angles 90.00, 90.00, 90.00 degrees
Space group Amm2 (No. 38)
Asymmetric unit:
Tb: 0.000 0.000 0.000 (multiplicity 2)
Tb: 0.000 0.000 0.336 (multiplicity 2)
Co: 0.500 0.000 0.777 (multiplicity 2)
Ge: 0.000 0.000 0.606 (multiplicity 2)
Ge: 0.000 0.000 0.722 (multiplicity 2)
Ge: 0.500 0.000 0.104 (multiplicity 2)
Ge: 0.500 0.000 0.222 (multiplicity 2)
Ge: 0.500 0.000 0.457 (multiplicity 2)
Ge: 0.500 0.000 0.884 (multiplicity 2)

=====

The following is a PBE calculation of a relaxed structure of DySi3Ir, from the Materials Project database.

Summary:
Energy relative to the elements in meV/atom: -784.5

Cell lengths 4.189, 4.189, 9.860 Å; angles 90.00, 90.00, 90.00 degrees
Space group I4mm (No. 107)
Asymmetric unit:
Dy: 0.000 0.000 0.000 (multiplicity 2)
Si: 0.000 0.000 0.420 (multiplicity 2)
Si: 0.000 0.500 0.270 (multiplicity 4)
Ir: 0.000 0.000 0.657 (multiplicity 2)